# PBE-GGA NpAg3, relaxed
# Energy of formation   31.9 kJ per mole of atoms
# M_tot   8.89 μB/cell
data_NpAg3
_chemical_formula_sum 'Np2 Ag6'
_cell_length_a 6.4941
_cell_length_b 6.4941
_cell_length_c 4.8620
_cell_angle_alpha 90.00
_cell_angle_beta 90.00
_cell_angle_gamma 120.00
_symmetry_space_group_name_H-M 'P 63/m m c'
_symmetry_Int_Tables_number 194
_symmetry_space_group_name_Hall '-P 6c 2c'
loop_
_atom_site_label
_atom_site_type_symbol
_atom_site_fract_x
_atom_site_fract_y
_atom_site_fract_z
Np1 Np 0.3333 0.6667 0.2500
Ag1 Ag 0.1528 0.3055 0.7500

=====

# PBE-GGA PrTeAs, relaxed
# Energy of formation   -118.0 kJ per mole of atoms
data_PrTeAs
_chemical_formula_sum 'Pr4 Te4 As4'
_cell_length_a 7.804
_cell_length_b 4.168
_cell_length_c 10.325
_cell_angle_alpha 90.00
_cell_angle_beta 90.00
_cell_angle_gamma 90.00
_symmetry_space_group_name_H-M 'P n m a'
_symmetry_Int_Tables_number 62
loop_
_symmetry_equiv_pos_as_xyz
'x,y,z'
'-x,-y,-z'
'-x+1/2,-y,z+1/2'
'x+1/2,y,-z+1/2'
'x+1/2,-y+1/2,-z+1/2'
'-x+1/2,y+1/2,z+1/2'
'-x,y+1/2,-z'
'x,-y+1/2,z'
loop_
_atom_site_label
_atom_site_type_symbol
_atom_site_fract_x
_atom_site_fract_y
_atom_site_fract_z
Pr1 Pr 0.226 0.250 0.157
Te1 Te 0.091 0.250 0.851
As1 As 0.092 0.250 0.461

=====

# PBE-GGA Hf2InNi2, relaxed
# Energy of formation   -48.9 kJ per mole of atoms
# M_tot   0.00 μB/cell
data_Hf2InNi2
_chemical_formula_sum 'Hf8 In4 Ni8'
_cell_length_a 7.202
_cell_length_b 7.202
_cell_length_c 6.551
_cell_angle_alpha 90.00
_cell_angle_beta 90.00
_cell_angle_gamma 90.00
_symmetry_space_group_name_H-M 'P 42/m n m'
_symmetry_Int_Tables_number 136
_symmetry_space_group_name_Hall '-P 4n 2n'
loop_
_atom_site_label
_atom_site_type_symbol
_atom_site_fract_x
_atom_site_fract_y
_atom_site_fract_z
Hf1 Hf 0.158 0.158 0.000
Hf2 Hf 0.175 0.175 0.500
In1 In 0.000 0.500 0.250
Ni1 Ni 0.126 0.874 0.270